1.
# PdC9N3Cl5 PBE optimized geometry
# - Spin magnetization: 0.001 μB/cell
# - Space-group type: Pnma
# - Energy: -5.726 eV per atom
data_PdC9N3Cl5
_cell_length_a 11.0000
_cell_length_b 11.3043
_cell_length_c 15.2654
_cell_angle_alpha 90.00
_cell_angle_beta 90.00
_cell_angle_gamma 90.00
_space_group_name_H-M_alt 'P 1'
_space_group_IT_number 1
loop_
_space_group_symop_operation_xyz
'x,y,z'
loop_
_atom_site_label
_atom_site_type_symbol
_atom_site_fract_x
_atom_site_fract_y
_atom_site_fract_z
Pd1 Pd 0.2285 0.2500 0.1081
Pd2 Pd 0.2715 0.7500 0.6081
Pd3 Pd 0.7285 0.2500 0.3919
Pd4 Pd 0.7715 0.7500 0.8919
C1 C 0.0312 0.5098 0.8571
C2 C 0.0312 0.9902 0.8571
C3 C 0.0661 0.6876 0.4250
C4 C 0.0661 0.8124 0.4250
C5 C 0.0794 0.0051 0.1411
C6 C 0.0794 0.4949 0.1411
C7 C 0.1728 0.2500 0.5866
C8 C 0.2455 0.0420 0.3599
C9 C 0.2455 0.4580 0.3599
C10 C 0.2545 0.5420 0.8599
C11 C 0.2545 0.9580 0.8599
C12 C 0.3272 0.7500 0.0866
C13 C 0.4206 0.5051 0.6411
C14 C 0.4206 0.9949 0.6411
C15 C 0.4339 0.1876 0.9250
C16 C 0.4339 0.3124 0.9250
C17 C 0.4688 0.0098 0.3571
C18 C 0.4688 0.4902 0.3571
C19 C 0.5312 0.5098 0.6429
C20 C 0.5312 0.9902 0.6429
C21 C 0.5661 0.6876 0.0750
C22 C 0.5661 0.8124 0.0750
C23 C 0.5794 0.0051 0.3589
C24 C 0.5794 0.4949 0.3589
C25 C 0.6728 0.2500 0.9134
C26 C 0.7455 0.0420 0.1401
C27 C 0.7455 0.4580 0.1401
C28 C 0.7545 0.5420 0.6401
C29 C 0.7545 0.9580 0.6401
C30 C 0.8272 0.7500 0.4134
C31 C 0.9206 0.5051 0.8589
C32 C 0.9206 0.9949 0.8589
C33 C 0.9339 0.1876 0.5750
C34 C 0.9339 0.3124 0.5750
C35 C 0.9688 0.0098 0.1429
C36 C 0.9688 0.4902 0.1429
N1 N 0.0635 0.2500 0.5826
N2 N 0.1483 0.5197 0.8574
N3 N 0.1483 0.9803 0.8574
N4 N 0.3517 0.0197 0.3574
N5 N 0.3517 0.4803 0.3574
N6 N 0.4365 0.7500 0.0826
N7 N 0.5635 0.2500 0.9174
N8 N 0.6483 0.5197 0.6426
N9 N 0.6483 0.9803 0.6426
N10 N 0.8517 0.0197 0.1426
N11 N 0.8517 0.4803 0.1426
N12 N 0.9365 0.7500 0.4174
Cl1 Cl 0.0465 0.2500 0.0339
Cl2 Cl 0.0795 0.7500 0.6675
Cl3 Cl 0.1238 0.7500 0.3118
Cl4 Cl 0.2226 0.0383 0.1298
Cl5 Cl 0.2226 0.4617 0.1298
Cl6 Cl 0.2774 0.5383 0.6298
Cl7 Cl 0.2774 0.9617 0.6298
Cl8 Cl 0.3762 0.2500 0.8118
Cl9 Cl 0.4205 0.2500 0.1675
Cl10 Cl 0.4535 0.7500 0.5339
Cl11 Cl 0.5465 0.2500 0.4661
Cl12 Cl 0.5795 0.7500 0.8325
Cl13 Cl 0.6238 0.7500 0.1882
Cl14 Cl 0.7226 0.0383 0.3702
Cl15 Cl 0.7226 0.4617 0.3702
Cl16 Cl 0.7774 0.5383 0.8702
Cl17 Cl 0.7774 0.9617 0.8702
Cl18 Cl 0.8762 0.2500 0.6882
Cl19 Cl 0.9205 0.2500 0.3325
Cl20 Cl 0.9535 0.7500 0.9661

2.
# LiSbP2O7 PBE optimized geometry
# - Spin magnetization: 0.003 μB/cell
# - Space-group type: P2_1/c
# - Energy: -6.715 eV per atom
data_LiSbP2O7
_cell_length_a 7.2309
_cell_length_b 9.1360
_cell_length_c 9.1897
_cell_angle_alpha 90.00
_cell_angle_beta 112.50
_cell_angle_gamma 90.00
_space_group_name_H-M_alt 'P 1'
_space_group_IT_number 1
loop_
_space_group_symop_operation_xyz
'x,y,z'
loop_
_atom_site_label
_atom_site_type_symbol
_atom_site_fract_x
_atom_site_fract_y
_atom_site_fract_z
Li1 Li 0.2113 0.0471 0.3237
Li2 Li 0.2113 0.4529 0.8237
Li3 Li 0.7887 0.5471 0.1763
Li4 Li 0.7887 0.9529 0.6763
Sb1 Sb 0.2483 0.0892 0.8858
Sb2 Sb 0.2483 0.4108 0.3858
Sb3 Sb 0.7517 0.5892 0.6142
Sb4 Sb 0.7517 0.9108 0.1142
P1 P 0.0320 0.7248 0.9698
P2 P 0.0320 0.7752 0.4698
P3 P 0.4311 0.7443 0.2506
P4 P 0.4311 0.7557 0.7506
P5 P 0.5689 0.2443 0.2494
P6 P 0.5689 0.2557 0.7494
P7 P 0.9680 0.2248 0.5302
P8 P 0.9680 0.2752 0.0302
O1 O 0.0106 0.0957 0.6483
O2 O 0.0106 0.4043 0.1483
O3 O 0.0285 0.6265 0.3966
O4 O 0.0285 0.8735 0.8966
O5 O 0.1168 0.2188 0.4436
O6 O 0.1168 0.2812 0.9436
O7 O 0.2479 0.6799 0.0972
O8 O 0.2479 0.8201 0.5972
O9 O 0.3788 0.6108 0.7985
O10 O 0.3788 0.8892 0.2985
O11 O 0.3882 0.2455 0.3047
O12 O 0.3882 0.2545 0.8047
O13 O 0.4743 0.6189 0.3721
O14 O 0.4743 0.8811 0.8721
O15 O 0.5257 0.1189 0.1279
O16 O 0.5257 0.3811 0.6279
O17 O 0.6118 0.7455 0.1953
O18 O 0.6118 0.7545 0.6953
O19 O 0.6212 0.1108 0.7015
O20 O 0.6212 0.3892 0.2015
O21 O 0.7521 0.1799 0.4028
O22 O 0.7521 0.3201 0.9028
O23 O 0.8832 0.7188 0.0564
O24 O 0.8832 0.7812 0.5564
O25 O 0.9715 0.1265 0.1034
O26 O 0.9715 0.3735 0.6034
O27 O 0.9894 0.5957 0.8517
O28 O 0.9894 0.9043 0.3517